No. 1
Density functional theory data (GGA-PBE) for crystalline LiMg2Al at its relaxed geometry.

Cell: 6.6140 6.6140 6.6140 Å, 154.70 133.53 53.65°
Sites, in units of the cell vectors:
1 Li 0.0000 0.0000 0.0000
2 Mg 0.2521 0.2521 0.0000
3 Mg 0.7479 0.7479 0.0000
4 Al 0.5000 0.5000 0.0000

## Properties
The value obtained for the size of the total moment is 0.00 μB per cell. Its space group is No. 71.



No. 2
Density functional theory data (GGA-PBE) for crystalline BaUO3 at its relaxed geometry.

Cell: 6.2674 8.8189 6.2921 Å, 90.00 90.00 90.00°
Sites, in units of the cell vectors:
1 Ba 0.0160 0.2500 0.0081
2 Ba 0.4840 0.7500 0.5081
3 Ba 0.5160 0.2500 0.4919
4 Ba 0.9840 0.7500 0.9919
5 U 0.0000 0.0000 0.5000
6 U 0.0000 0.5000 0.5000
7 U 0.5000 0.0000 0.0000
8 U 0.5000 0.5000 0.0000
9 O 0.0122 0.7500 0.4250
10 O 0.2327 0.5415 0.7664
11 O 0.2327 0.9585 0.7664
12 O 0.2673 0.0415 0.2664
13 O 0.2673 0.4585 0.2664
14 O 0.4878 0.2500 0.9250
15 O 0.5122 0.7500 0.0750
16 O 0.7327 0.5415 0.7336
17 O 0.7327 0.9585 0.7336
18 O 0.7673 0.0415 0.2336
19 O 0.7673 0.4585 0.2336
20 O 0.9878 0.2500 0.5750

## Properties
Its space group is No. 62.



No. 3
Density functional theory data (GGA-PBE) for crystalline Rb2PrCuI6 at its relaxed geometry.

Cell: 8.4984 8.4984 8.4984 Å, 60.00 60.00 60.00°
Sites, in units of the cell vectors:
1 Rb 0.2500 0.2500 0.2500
2 Rb 0.7500 0.7500 0.7500
3 Pr 0.0000 0.0000 0.0000
4 Cu 0.5000 0.5000 0.5000
5 I 0.2603 0.2603 0.7397
6 I 0.2603 0.7397 0.2603
7 I 0.2603 0.7397 0.7397
8 I 0.7397 0.2603 0.2603
9 I 0.7397 0.2603 0.7397
10 I 0.7397 0.7397 0.2603

## Properties
The value obtained for the size of the total moment is 0.00 μB per cell. Its space group is No. 225.



No. 4
Density functional theory data (GGA-PBE) for crystalline Si6Bi9O26 at its relaxed geometry.

Cell: 9.7520 9.7598 14.1376 Å, 90.02 90.02 119.95°
Sites, in units of the cell vectors:
1 Si 0.0000 0.0000 0.0000
2 Si 0.0005 0.0022 0.4989
3 Si 0.0221 0.6258 0.2508
4 Si 0.0245 0.6279 0.7527
5 Si 0.2282 0.5801 0.4991
6 Si 0.2305 0.5824 0.0004
7 Si 0.2520 0.2052 0.7523
8 Si 0.2521 0.2070 0.2514
9 Si 0.6025 0.9780 0.7527
10 Si 0.6044 0.9777 0.2509
11 Si 0.6477 0.2295 0.0002
12 Si 0.6502 0.2297 0.4990
13 Bi 0.2930 0.9375 0.0968
14 Bi 0.2929 0.9373 0.3851
15 Bi 0.2927 0.9377 0.6455
16 Bi 0.3792 0.3679 0.9993
17 Bi 0.3856 0.3786 0.4991
18 Bi 0.3913 0.6130 0.2525
19 Bi 0.3999 0.6185 0.7520
20 Bi 0.6100 0.3622 0.7520
21 Bi 0.6148 0.3586 0.2522
22 Bi 0.6387 0.8509 0.9995
23 Bi 0.6420 0.8450 0.4992
24 Bi 0.8515 0.5878 0.4991
25 Bi 0.8623 0.5930 0.9995
26 Bi 0.8665 0.8290 0.7520
27 Bi 0.8699 0.8377 0.2526
28 Bi 0.9601 0.2705 0.1549
29 Bi 0.9605 0.2704 0.8648
30 Bi 0.9598 0.2710 0.6050
31 O 0.0337 0.4827 0.5061
32 O 0.0363 0.4965 0.9931
33 O 0.0977 0.1965 0.5062
34 O 0.1013 0.9089 0.0029
35 O 0.1082 0.1937 0.9931
36 O 0.1243 0.9355 0.4989
37 O 0.1280 0.2719 0.7522
38 O 0.1455 0.0132 0.2591
39 O 0.1486 0.2957 0.2490
40 O 0.1542 0.0107 0.7450
41 O 0.2163 0.7143 0.2588
42 O 0.2190 0.7254 0.7447
43 O 0.2799 0.5083 0.0915
44 O 0.2888 0.5150 0.5903
45 O 0.2911 0.5160 0.9106
46 O 0.2944 0.7704 0.4989
47 O 0.3093 0.5304 0.4122
48 O 0.3198 0.7743 0.0027
49 O 0.3752 0.2571 0.1601
50 O 0.3775 0.2651 0.6612
51 O 0.3797 0.2705 0.3410
52 O 0.3822 0.2866 0.8392
53 O 0.4558 0.1251 0.0024
54 O 0.4598 0.1053 0.4989
55 O 0.5049 0.0747 0.7448
56 O 0.5159 0.0830 0.2587
57 O 0.5326 0.8542 0.1593
58 O 0.5386 0.8513 0.6620
59 O 0.5400 0.8493 0.3401
60 O 0.5531 0.8473 0.8398
61 O 0.6260 0.6035 0.7469
62 O 0.6259 0.6036 0.2528
63 O 0.6274 0.6058 0.5045
64 O 0.6331 0.6150 0.9995
65 O 0.6994 0.3603 0.4123
66 O 0.7129 0.3568 0.9107
67 O 0.7154 0.3554 0.5901
68 O 0.7210 0.3532 0.0912
69 O 0.7354 0.1225 0.9930
70 O 0.7476 0.1324 0.5062
71 O 0.7927 0.1021 0.7527
72 O 0.7964 0.0816 0.2489
73 O 0.8696 0.9210 0.4121
74 O 0.8728 0.9393 0.9102
75 O 0.8744 0.9414 0.5900
76 O 0.8757 0.9504 0.0909
77 O 0.9345 0.4340 0.2486
78 O 0.9434 0.6774 0.8398
79 O 0.9583 0.6903 0.3401
80 O 0.9586 0.4377 0.7528
81 O 0.9621 0.6921 0.6620
82 O 0.9703 0.6976 0.1593

## Properties
The value obtained for the size of the total moment is 1.99 μB per cell. The calculation puts the energy relative to the lowest polymorph listed for this composition at 0.000 eV/atom. Its space group is No. 1.



No. 5
Density functional theory data (GGA-PBE) for crystalline UGa at its relaxed geometry.

Cell: 6.0447 6.0447 5.4464 Å, 90.00 90.00 126.72°
Sites, in units of the cell vectors:
1 U 0.0000 0.0000 0.0000
2 U 0.0000 0.0000 0.5000
3 U 0.2352 0.7648 0.0000
4 U 0.7648 0.2352 0.0000
5 Ga 0.0000 0.5000 0.5000
6 Ga 0.5000 0.0000 0.5000
7 Ga 0.5000 0.5000 0.2531
8 Ga 0.5000 0.5000 0.7469

## Properties
The value obtained for the size of the total moment is 4.33 μB per cell. Its space group is No. 65.



No. 6
Density functional theory data (GGA-PBE) for crystalline YThC3 at its relaxed geometry.

Cell: 7.2990 7.2990 7.2990 Å, 109.47 109.47 109.47°
Sites, in units of the cell vectors:
1 Y 0.0000 0.0963 0.5000
2 Y 0.0963 0.5000 0.0000
3 Y 0.4037 0.4037 0.4037
4 Y 0.5000 0.0000 0.0963
5 Th 0.0000 0.5947 0.5000
6 Th 0.5000 0.0000 0.5947
7 Th 0.5947 0.5000 0.0000
8 Th 0.9053 0.9053 0.9053
9 C 0.0487 0.7987 0.2500
10 C 0.2123 0.9623 0.2500
11 C 0.2500 0.0487 0.7987
12 C 0.2500 0.2123 0.9623
13 C 0.2877 0.5377 0.7500
14 C 0.4513 0.7013 0.7500
15 C 0.5377 0.7500 0.2877
16 C 0.7013 0.7500 0.4513
17 C 0.7500 0.2877 0.5377
18 C 0.7500 0.4513 0.7013
19 C 0.7987 0.2500 0.0487
20 C 0.9623 0.2500 0.2123

## Properties
The value obtained for the size of the total moment is 0.00 μB per cell. Its space group is No. 199.



No. 7
Density functional theory data (GGA-PBE) for crystalline CaSn2O4 at its relaxed geometry.

Cell: 6.8415 6.8415 6.8415 Å, 60.00 60.00 60.00°
Sites, in units of the cell vectors:
1 Ca 0.1250 0.1250 0.1250
2 Ca 0.8750 0.8750 0.8750
3 Sn 0.0000 0.5000 0.5000
4 Sn 0.5000 0.0000 0.5000
5 Sn 0.5000 0.5000 0.0000
6 Sn 0.5000 0.5000 0.5000
7 O 0.2631 0.2631 0.2631
8 O 0.2631 0.2631 0.7107
9 O 0.2631 0.7107 0.2631
10 O 0.2893 0.7369 0.7369
11 O 0.7107 0.2631 0.2631
12 O 0.7369 0.2893 0.7369
13 O 0.7369 0.7369 0.2893
14 O 0.7369 0.7369 0.7369

## Properties
The value obtained for the size of the total moment is 0.00 μB per cell. The calculation puts the energy relative to the lowest polymorph listed for this composition at 0.244 eV/atom. Its space group is No. 227.



No. 8
Density functional theory data (GGA-PBE) for crystalline ErSi3Ni5 at its relaxed geometry.

Cell: 18.6720 3.7791 6.6466 Å, 90.00 90.00 90.00°
Sites, in units of the cell vectors:
1 Er 0.1441 0.2500 0.1223
2 Er 0.3559 0.7500 0.6223
3 Er 0.6441 0.2500 0.3777
4 Er 0.8559 0.7500 0.8777
5 Si 0.0754 0.7500 0.8469
6 Si 0.0850 0.7500 0.4131
7 Si 0.2376 0.2500 0.6212
8 Si 0.2624 0.7500 0.1212
9 Si 0.4150 0.2500 0.9131
10 Si 0.4246 0.2500 0.3469
11 Si 0.5754 0.7500 0.6531
12 Si 0.5850 0.7500 0.0869
13 Si 0.7376 0.2500 0.8788
14 Si 0.7624 0.7500 0.3788
15 Si 0.9150 0.2500 0.5869
16 Si 0.9246 0.2500 0.1531
17 Ni 0.0054 0.7500 0.1315
18 Ni 0.0138 0.2500 0.3819
19 Ni 0.1145 0.2500 0.6434
20 Ni 0.2002 0.7500 0.8159
21 Ni 0.2057 0.7500 0.4292
22 Ni 0.2943 0.2500 0.9292
23 Ni 0.2998 0.2500 0.3159
24 Ni 0.3855 0.7500 0.1434
25 Ni 0.4862 0.7500 0.8819
26 Ni 0.4946 0.2500 0.6315
27 Ni 0.5054 0.7500 0.3685
28 Ni 0.5138 0.2500 0.1181
29 Ni 0.6145 0.2500 0.8566
30 Ni 0.7002 0.7500 0.6841
31 Ni 0.7057 0.7500 0.0708
32 Ni 0.7943 0.2500 0.5708
33 Ni 0.7998 0.2500 0.1841
34 Ni 0.8855 0.7500 0.3566
35 Ni 0.9862 0.7500 0.6181
36 Ni 0.9946 0.2500 0.8685

## Properties
The value obtained for the size of the total moment is 0.01 μB per cell. Its space group is No. 62.



No. 9
Density functional theory data (GGA-PBE) for crystalline Mn2InSnPd4 at its relaxed geometry.

Cell: 7.8903 7.8903 7.8903 Å, 33.41 33.41 33.41°
Sites, in units of the cell vectors:
1 Mn 0.2504 0.2504 0.2504
2 Mn 0.7496 0.7496 0.7496
3 In 0.0000 0.0000 0.0000
4 Sn 0.5000 0.5000 0.5000
5 Pd 0.1252 0.1252 0.1252
6 Pd 0.3753 0.3753 0.3753
7 Pd 0.6247 0.6247 0.6247
8 Pd 0.8748 0.8748 0.8748

## Properties
The value obtained for the size of the total moment is 8.34 μB per cell. Its space group is No. 166.



No. 10
Density functional theory data (GGA-PBE) for crystalline Pr2FeSi3 at its relaxed geometry.

Cell: 4.0592 4.0592 8.7035 Å, 90.00 90.00 120.00°
Sites, in units of the cell vectors:
1 Pr 0.0000 0.0000 0.2433
2 Pr 0.0000 0.0000 0.7567
3 Fe 0.3333 0.6667 0.0000
4 Si 0.3333 0.6667 0.5000
5 Si 0.6667 0.3333 0.0000
6 Si 0.6667 0.3333 0.5000

## Properties
The value obtained for the size of the total moment is 2.02 μB per cell. Its space group is No. 187.



No. 11
Density functional theory data (GGA-PBE) for crystalline BaO at its relaxed geometry.

Cell: 4.7592 4.7592 3.9514 Å, 90.00 90.00 90.00°
Sites, in units of the cell vectors:
1 Ba 0.2500 0.2500 0.2275
2 Ba 0.7500 0.7500 0.7725
3 O 0.2500 0.7500 0.5000
4 O 0.7500 0.2500 0.5000

## Properties
The value obtained for the size of the total moment is 0.00 μB per cell. Its space group is No. 129.



No. 12
Density functional theory data (GGA-PBE) for crystalline GaS5N5Cl4 at its relaxed geometry.

Cell: 9.9361 14.3890 21.4542 Å, 90.00 90.00 90.00°
Sites, in units of the cell vectors:
1 Ga 0.0341 0.2500 0.1189
2 Ga 0.0542 0.7500 0.3702
3 Ga 0.4458 0.2500 0.8702
4 Ga 0.4659 0.7500 0.6189
5 Ga 0.5341 0.2500 0.3811
6 Ga 0.5542 0.7500 0.1298
7 Ga 0.9458 0.2500 0.6298
8 Ga 0.9659 0.7500 0.8811
9 S 0.0185 0.1018 0.3220
10 S 0.0185 0.3982 0.3220
11 S 0.0728 0.6074 0.5466
12 S 0.0728 0.8926 0.5466
13 S 0.0890 0.6045 0.1312
14 S 0.0890 0.8955 0.1312
15 S 0.1992 0.5084 0.0205
16 S 0.1992 0.9916 0.0205
17 S 0.2042 0.0305 0.7281
18 S 0.2042 0.4695 0.7281
19 S 0.2958 0.5305 0.2281
20 S 0.2958 0.9695 0.2281
21 S 0.3008 0.0084 0.5205
22 S 0.3008 0.4916 0.5205
23 S 0.4110 0.1045 0.6312
24 S 0.4110 0.3955 0.6312
25 S 0.4272 0.1074 0.0466
26 S 0.4272 0.3926 0.0466
27 S 0.4815 0.6018 0.8220
28 S 0.4815 0.8982 0.8220
29 S 0.5185 0.1018 0.1780
30 S 0.5185 0.3982 0.1780
31 S 0.5728 0.6074 0.9534
32 S 0.5728 0.8926 0.9534
33 S 0.5890 0.6045 0.3688
34 S 0.5890 0.8955 0.3688
35 S 0.6992 0.5084 0.4795
36 S 0.6992 0.9916 0.4795
37 S 0.7042 0.0305 0.7719
38 S 0.7042 0.4695 0.7719
39 S 0.7958 0.5305 0.2719
40 S 0.7958 0.9695 0.2719
41 S 0.8008 0.0084 0.9795
42 S 0.8008 0.4916 0.9795
43 S 0.9110 0.1045 0.8688
44 S 0.9110 0.3955 0.8688
45 S 0.9272 0.1074 0.4534
46 S 0.9272 0.3926 0.4534
47 S 0.9815 0.6018 0.6780
48 S 0.9815 0.8982 0.6780
49 N 0.0141 0.1275 0.3937
50 N 0.0141 0.3725 0.3937
51 N 0.0891 0.5345 0.7054
52 N 0.0891 0.9655 0.7054
53 N 0.1066 0.5729 0.0610
54 N 0.1066 0.9271 0.0610
55 N 0.1863 0.5338 0.5639
56 N 0.1863 0.9662 0.5639
57 N 0.1879 0.5672 0.1816
58 N 0.1879 0.9328 0.1816
59 N 0.3121 0.0672 0.6816
60 N 0.3121 0.4328 0.6816
61 N 0.3137 0.0338 0.0639
62 N 0.3137 0.4662 0.0639
63 N 0.3934 0.0729 0.5610
64 N 0.3934 0.4271 0.5610
65 N 0.4109 0.0345 0.2054
66 N 0.4109 0.4655 0.2054
67 N 0.4859 0.6275 0.8937
68 N 0.4859 0.8725 0.8937
69 N 0.5141 0.1275 0.1063
70 N 0.5141 0.3725 0.1063
71 N 0.5891 0.5345 0.7946
72 N 0.5891 0.9655 0.7946
73 N 0.6066 0.5729 0.4390
74 N 0.6066 0.9271 0.4390
75 N 0.6863 0.5338 0.9361
76 N 0.6863 0.9662 0.9361
77 N 0.6879 0.5672 0.3184
78 N 0.6879 0.9328 0.3184
79 N 0.8121 0.0672 0.8184
80 N 0.8121 0.4328 0.8184
81 N 0.8137 0.0338 0.4361
82 N 0.8137 0.4662 0.4361
83 N 0.8934 0.0729 0.9390
84 N 0.8934 0.4271 0.9390
85 N 0.9109 0.0345 0.2946
86 N 0.9109 0.4655 0.2946
87 N 0.9859 0.6275 0.6063
88 N 0.9859 0.8725 0.6063
89 Cl 0.0162 0.2500 0.7271
90 Cl 0.0895 0.6240 0.8696
91 Cl 0.0895 0.8760 0.8696
92 Cl 0.1215 0.2500 0.5666
93 Cl 0.1276 0.2500 0.0255
94 Cl 0.1743 0.6232 0.3881
95 Cl 0.1743 0.8768 0.3881
96 Cl 0.1972 0.2500 0.1893
97 Cl 0.3028 0.7500 0.6893
98 Cl 0.3257 0.1232 0.8881
99 Cl 0.3257 0.3768 0.8881
100 Cl 0.3724 0.7500 0.5255
101 Cl 0.3785 0.7500 0.0666
102 Cl 0.4105 0.1240 0.3696
103 Cl 0.4105 0.3760 0.3696
104 Cl 0.4838 0.7500 0.2271
105 Cl 0.5162 0.2500 0.7729
106 Cl 0.5895 0.6240 0.6304
107 Cl 0.5895 0.8760 0.6304
108 Cl 0.6215 0.2500 0.9334
109 Cl 0.6276 0.2500 0.4745
110 Cl 0.6743 0.6232 0.1119
111 Cl 0.6743 0.8768 0.1119
112 Cl 0.6972 0.2500 0.3107
113 Cl 0.8028 0.7500 0.8107
114 Cl 0.8257 0.1232 0.6119
115 Cl 0.8257 0.3768 0.6119
116 Cl 0.8724 0.7500 0.9745
117 Cl 0.8785 0.7500 0.4334
118 Cl 0.9105 0.1240 0.1304
119 Cl 0.9105 0.3760 0.1304
120 Cl 0.9838 0.7500 0.2729

## Properties
The value obtained for the size of the total moment is 0.01 μB per cell. Its space group is No. 62.



Density in Mg/m³, matching the order above: 1.536, 8.086, 4.350, 7.023, 12.815, 7.921, 5.009, 7.718, 9.629, 5.641, 5.690, 1.914
Energy relative to the elements in eV per atom, matching the order above: 0.23, -3.49, -1.36, -2.34, 0.06, -0.23, -2.07, -0.72, -0.41, -0.45, -2.69, -0.19